Record 1
# Ti5ZnO7, optimized geometry, DFT PBE
# ΔE_f in eV per atom: -2.736
# Crystal system: orthorhombic
data_Ti5ZnO7
_space_group_name_H-M_alt 'P 1'
_space_group_IT_number 1
_cell_length_a 5.141
_cell_length_b 5.141
_cell_length_c 17.886
_cell_angle_alpha 90.00
_cell_angle_beta 90.00
_cell_angle_gamma 146.41
loop_
_space_group_symop_operation_xyz
'x,y,z'
loop_
_atom_site_label
_atom_site_type_symbol
_atom_site_fract_x
_atom_site_fract_y
_atom_site_fract_z
_atom_site_occupancy
Ti1 Ti 0.709 0.291 0.929 1
Ti2 Ti 0.000 0.000 0.500 1
Ti3 Ti 0.709 0.291 0.571 1
Ti4 Ti 0.462 0.538 0.851 1
Ti5 Ti 0.000 0.000 0.000 1
Ti6 Ti 0.538 0.462 0.149 1
Ti7 Ti 0.291 0.709 0.429 1
Ti8 Ti 0.462 0.538 0.649 1
Ti9 Ti 0.538 0.462 0.351 1
Ti10 Ti 0.291 0.709 0.071 1
Zn1 Zn 0.790 0.210 0.250 1
Zn2 Zn 0.210 0.790 0.750 1
O1 O 0.643 0.357 0.044 1
O2 O 0.555 0.445 0.750 1
O3 O 0.910 0.090 0.386 1
O4 O 0.090 0.910 0.886 1
O5 O 0.090 0.910 0.614 1
O6 O 0.182 0.818 0.173 1
O7 O 0.643 0.357 0.456 1
O8 O 0.910 0.090 0.114 1
O9 O 0.357 0.643 0.956 1
O10 O 0.445 0.555 0.250 1
O11 O 0.357 0.643 0.544 1
O12 O 0.818 0.182 0.673 1
O13 O 0.818 0.182 0.827 1
O14 O 0.182 0.818 0.327 1


Record 2
# Ba5Pb3, optimized geometry, DFT PBE
# ΔE_f in eV per atom: -0.538
# Crystal system: tetragonal
data_Ba5Pb3
_space_group_name_H-M_alt 'P 1'
_space_group_IT_number 1
_cell_length_a 10.959
_cell_length_b 10.959
_cell_length_c 10.959
_cell_angle_alpha 130.51
_cell_angle_beta 130.51
_cell_angle_gamma 72.59
loop_
_space_group_symop_operation_xyz
'x,y,z'
loop_
_atom_site_label
_atom_site_type_symbol
_atom_site_fract_x
_atom_site_fract_y
_atom_site_fract_z
_atom_site_occupancy
Ba1 Ba 0.534 0.682 0.500 1
Ba2 Ba 0.500 0.500 0.000 1
Ba3 Ba 0.000 0.000 0.000 1
Ba4 Ba 0.818 0.966 0.500 1
Ba5 Ba 0.466 0.318 0.500 1
Ba6 Ba 0.034 0.534 0.852 1
Ba7 Ba 0.966 0.466 0.148 1
Ba8 Ba 0.318 0.818 0.852 1
Ba9 Ba 0.182 0.034 0.500 1
Ba10 Ba 0.682 0.182 0.148 1
Pb1 Pb 0.120 0.380 0.500 1
Pb2 Pb 0.750 0.750 0.000 1
Pb3 Pb 0.250 0.250 0.000 1
Pb4 Pb 0.620 0.120 0.740 1
Pb5 Pb 0.380 0.880 0.260 1
Pb6 Pb 0.880 0.620 0.500 1


Record 3
# HgPPt5, optimized geometry, DFT PBE
# ΔE_f in eV per atom: -0.194
# Crystal system: tetragonal
data_HgPPt5
_space_group_name_H-M_alt 'P 1'
_space_group_IT_number 1
_cell_length_a 3.983
_cell_length_b 3.983
_cell_length_c 7.219
_cell_angle_alpha 90.00
_cell_angle_beta 90.00
_cell_angle_gamma 90.00
loop_
_space_group_symop_operation_xyz
'x,y,z'
loop_
_atom_site_label
_atom_site_type_symbol
_atom_site_fract_x
_atom_site_fract_y
_atom_site_fract_z
_atom_site_occupancy
Hg1 Hg 0.500 0.500 0.000 1
P1 P 0.000 0.000 0.500 1
Pt1 Pt 0.000 0.500 0.697 1
Pt2 Pt 0.500 0.000 0.697 1
Pt3 Pt 0.000 0.500 0.303 1
Pt4 Pt 0.500 0.000 0.303 1
Pt5 Pt 0.000 0.000 0.000 1


Record 4
# K3Zr2SO6F9, optimized geometry, DFT PBE
# ΔE_f in eV per atom: -2.816
# Crystal system: monoclinic
data_K3Zr2SO6F9
_space_group_name_H-M_alt 'P 1'
_space_group_IT_number 1
_cell_length_a 7.994
_cell_length_b 7.994
_cell_length_c 11.974
_cell_angle_alpha 69.10
_cell_angle_beta 69.10
_cell_angle_gamma 83.25
loop_
_space_group_symop_operation_xyz
'x,y,z'
loop_
_atom_site_label
_atom_site_type_symbol
_atom_site_fract_x
_atom_site_fract_y
_atom_site_fract_z
_atom_site_occupancy
Zr1 Zr 0.111 0.764 0.387 1
Zr2 Zr 0.764 0.111 0.387 1
Zr3 Zr 0.889 0.236 0.613 1
Zr4 Zr 0.236 0.889 0.613 1
O1 O 0.592 0.592 0.122 1
O2 O 0.132 0.684 0.807 1
O3 O 0.316 0.868 0.193 1
O4 O 0.180 0.411 0.074 1
O5 O 0.684 0.132 0.807 1
O6 O 0.589 0.820 0.926 1
O7 O 0.411 0.180 0.074 1
O8 O 0.825 0.825 0.013 1
O9 O 0.868 0.316 0.193 1
O10 O 0.408 0.408 0.878 1
O11 O 0.820 0.589 0.926 1
O12 O 0.175 0.175 0.987 1
F1 F 0.395 0.673 0.611 1
F2 F 0.035 0.035 0.299 1
F3 F 0.270 0.942 0.412 1
F4 F 0.327 0.605 0.389 1
F5 F 0.182 0.182 0.536 1
F6 F 0.036 0.701 0.261 1
F7 F 0.058 0.730 0.588 1
F8 F 0.730 0.058 0.588 1
F9 F 0.964 0.299 0.739 1
F10 F 0.000 0.500 0.500 1
F11 F 0.818 0.818 0.464 1
F12 F 0.942 0.270 0.412 1
F13 F 0.965 0.965 0.701 1
F14 F 0.299 0.964 0.739 1
F15 F 0.673 0.395 0.611 1
F16 F 0.500 0.000 0.500 1
F17 F 0.701 0.036 0.261 1
F18 F 0.605 0.327 0.389 1
K1 K 0.799 0.201 0.000 1
K2 K 0.678 0.678 0.723 1
K3 K 0.201 0.799 0.000 1
K4 K 0.668 0.668 0.339 1
K5 K 0.332 0.332 0.661 1
K6 K 0.322 0.322 0.277 1
S1 S 0.710 0.710 0.997 1
S2 S 0.290 0.290 0.003 1


Record 5
# La5Ti6S3Cl3O15, optimized geometry, DFT PBE
# ΔE_f in eV per atom: -3.293
# Crystal system: monoclinic
data_La5Ti6S3Cl3O15
_space_group_name_H-M_alt 'P 1'
_space_group_IT_number 1
_cell_length_a 10.843
_cell_length_b 10.843
_cell_length_c 12.461
_cell_angle_alpha 55.02
_cell_angle_beta 55.02
_cell_angle_gamma 70.69
loop_
_space_group_symop_operation_xyz
'x,y,z'
loop_
_atom_site_label
_atom_site_type_symbol
_atom_site_fract_x
_atom_site_fract_y
_atom_site_fract_z
_atom_site_occupancy
O1 O 0.629 0.371 0.500 1
O2 O 0.299 0.925 0.278 1
O3 O 0.926 0.300 0.498 1
O4 O 0.569 0.798 0.924 1
O5 O 0.499 0.499 0.871 1
O6 O 0.300 0.926 0.498 1
O7 O 0.573 0.798 0.703 1
O8 O 0.700 0.074 0.502 1
O9 O 0.501 0.501 0.129 1
O10 O 0.508 0.724 0.567 1
O11 O 0.280 0.498 0.795 1
O12 O 0.427 0.202 0.297 1
O13 O 0.925 0.299 0.278 1
O14 O 0.431 0.202 0.076 1
O15 O 0.498 0.280 0.795 1
O16 O 0.720 0.502 0.205 1
O17 O 0.074 0.700 0.502 1
O18 O 0.202 0.427 0.297 1
O19 O 0.202 0.431 0.076 1
O20 O 0.873 0.873 0.627 1
O21 O 0.075 0.701 0.722 1
O22 O 0.371 0.629 0.500 1
O23 O 0.276 0.492 0.433 1
O24 O 0.127 0.127 0.373 1
O25 O 0.798 0.573 0.703 1
O26 O 0.798 0.569 0.924 1
O27 O 0.492 0.276 0.433 1
O28 O 0.724 0.508 0.567 1
O29 O 0.502 0.720 0.205 1
O30 O 0.701 0.075 0.722 1
La1 La 0.995 0.995 0.673 1
La2 La 0.000 0.500 0.500 1
La3 La 0.000 0.500 0.000 1
La4 La 0.661 0.339 0.000 1
La5 La 0.350 0.350 0.657 1
La6 La 0.650 0.650 0.343 1
La7 La 0.005 0.005 0.327 1
La8 La 0.500 0.000 0.000 1
La9 La 0.500 0.000 0.500 1
La10 La 0.339 0.661 0.000 1
S1 S 0.814 0.814 0.981 1
S2 S 0.206 0.795 0.814 1
S3 S 0.795 0.206 0.814 1
S4 S 0.205 0.794 0.186 1
S5 S 0.186 0.186 0.019 1
S6 S 0.794 0.205 0.186 1
Cl1 Cl 0.385 0.026 0.793 1
Cl2 Cl 0.615 0.974 0.207 1
Cl3 Cl 0.974 0.615 0.207 1
Cl4 Cl 0.179 0.179 0.618 1
Cl5 Cl 0.026 0.385 0.793 1
Cl6 Cl 0.821 0.821 0.382 1
Ti1 Ti 0.632 0.632 0.672 1
Ti2 Ti 0.939 0.668 0.696 1
Ti3 Ti 0.700 0.303 0.645 1
Ti4 Ti 0.300 0.697 0.355 1
Ti5 Ti 0.697 0.300 0.355 1
Ti6 Ti 0.061 0.332 0.304 1
Ti7 Ti 0.368 0.368 0.328 1
Ti8 Ti 0.303 0.700 0.645 1
Ti9 Ti 0.651 0.651 0.049 1
Ti10 Ti 0.349 0.349 0.951 1
Ti11 Ti 0.668 0.939 0.696 1
Ti12 Ti 0.332 0.061 0.304 1


Record 6
# Tb3Np, optimized geometry, DFT PBE
# ΔE_f in eV per atom: 0.634
# Crystal system: hexagonal
# ΔE to the lowest computed polymorph in meV per atom: 232.7
data_Tb3Np
_space_group_name_H-M_alt 'P 1'
_space_group_IT_number 1
_cell_length_a 7.011
_cell_length_b 7.011
_cell_length_c 5.625
_cell_angle_alpha 90.00
_cell_angle_beta 90.00
_cell_angle_gamma 120.00
loop_
_space_group_symop_operation_xyz
'x,y,z'
loop_
_atom_site_label
_atom_site_type_symbol
_atom_site_fract_x
_atom_site_fract_y
_atom_site_fract_z
_atom_site_occupancy
Np1 Np 0.667 0.333 0.250 1
Np2 Np 0.333 0.667 0.750 1
Tb1 Tb 0.338 0.169 0.750 1
Tb2 Tb 0.831 0.662 0.750 1
Tb3 Tb 0.169 0.338 0.250 1
Tb4 Tb 0.169 0.831 0.250 1
Tb5 Tb 0.662 0.831 0.250 1
Tb6 Tb 0.831 0.169 0.750 1